No. 1
46
Lattice="4.0357 9.6863 0.0000 -4.0357 9.6863 0.0000 0.0000 0.0041 11.0669" Properties=species:S:1:pos:R:3 comment="NbSn6OF15 (PBE-GGA, optimized geometry)" energy_ev_per_fu=-123.2 sg="No. 9" formation_energy_ev_per_atom=-2.737 crystal_system=monoclinic pbc="T T T"
Nb 1.3816 9.7425 8.4558
Nb -1.3816 9.7404 2.9223
Sn -0.8411 6.7949 5.8979
Sn -0.8394 12.5814 10.7197
Sn 0.8394 12.5793 5.1862
Sn 0.8411 6.7928 0.3644
Sn -0.6238 15.3727 7.5584
Sn -0.6171 4.0007 9.0470
Sn 0.6171 3.9986 3.5136
Sn 0.6238 15.3707 2.0249
Sn -2.5790 8.2212 10.0179
Sn -2.5716 11.1488 6.5896
Sn 2.5716 11.1467 1.0561
Sn 2.5790 8.2191 4.4844
O 1.4036 10.3483 10.1486
O -1.4036 10.3462 4.6151
F -1.2055 12.7542 5.9896
F -1.2028 6.6417 10.6198
F 1.2028 6.6396 5.0863
F 1.2055 12.7522 0.4562
F -0.0373 8.3670 8.6864
F -0.0414 10.9833 7.8254
F 0.0414 10.9812 2.2919
F 0.0373 8.3649 3.1529
F 1.0204 14.2614 6.5499
F 1.0145 5.1196 10.0531
F -1.0145 5.1175 4.5196
F -1.0204 14.2594 1.0164
F 0.1368 16.7859 0.1859
F 0.1452 2.5860 5.3399
F -0.1452 2.5881 10.8734
F -0.1368 16.7879 5.7194
F 2.7478 8.3365 8.7394
F 2.7411 11.0090 7.7756
F -2.7411 11.0070 2.2421
F -2.7478 8.3345 3.2059
F -0.0681 13.9207 9.2984
F -0.0644 5.4548 7.3025
F 0.0644 5.4528 1.7691
F 0.0681 13.9186 3.7649
F 1.1015 16.3993 8.3705
F 1.1018 2.9851 8.2386
F -1.1018 2.9831 2.7051
F -1.1015 16.3972 2.8371
F 1.3914 9.0360 6.4279
F -1.3914 9.0340 0.8944

=====

No. 2
18
Lattice="5.2167 5.1969 0.0000 -5.2167 5.1969 0.0000 0.0000 5.1223 5.4139" Properties=species:S:1:pos:R:3 comment="TiNbTlO4F2 (PBE-GGA, optimized geometry)" piezo_max_c_m2=15.2 energy_ev_per_fu=-67.4 sg="No. 9" formation_energy_ev_per_atom=-3.009 total_magnetization_mub_per_fu=0.00 crystal_system=monoclinic pbc="T T T"
Ti 2.5513 12.8896 5.3373
Ti -2.5513 10.3285 2.6303
Nb -0.0874 10.3398 0.0580
Nb 0.0874 12.9009 2.7649
Tl -1.6800 6.8525 0.9343
Tl 1.6800 9.4137 3.6412
O -1.3349 6.4713 4.8609
O -4.5023 6.4875 1.3550
O 1.3349 3.9101 2.1540
O -1.3509 11.6394 3.2878
O -1.3260 9.6706 1.3964
O 4.5023 9.0487 4.0619
O 1.3509 9.0783 0.5808
O 1.3260 12.2317 4.1033
F -1.3359 3.3050 1.3362
F 1.9241 6.4892 1.3573
F 1.3359 5.8661 4.0432
F -1.9241 9.0504 4.0642

=====

No. 3
10
Lattice="-0.7043 -6.7020 0.2405 -5.2312 -2.7253 3.2678 -4.9489 -2.9965 -3.4641" Properties=species:S:1:pos:R:3 comment="Rb3NbF6 (PBE-GGA, optimized geometry)" energy_ev_per_fu=-51.3 sg="No. 225" formation_energy_ev_per_atom=-2.954 total_magnetization_mub_per_fu=2.00 crystal_system=cubic pbc="T T T"
Rb -8.1634 -9.3180 0.0331
Rb -2.7211 -3.1060 0.0110
Rb -5.4422 -6.2120 0.0221
Nb 0.0000 0.0000 0.0000
F -2.8009 -6.4852 0.1438
F -5.1672 -4.4194 -1.9214
F -8.0835 -5.9388 -0.0997
F -5.3246 -4.2682 1.8315
F -5.5599 -8.1557 -1.7874
F -5.7172 -8.0045 1.9655

=====

No. 4
52
Lattice="5.5854 0.0000 0.0000 0.0000 8.8864 0.0000 0.0000 0.0000 17.4992" Properties=species:S:1:pos:R:3 comment="NbXeF11 (PBE-GGA, optimized geometry)" energy_ev_per_fu=-51.8 sg="No. 62" formation_energy_ev_per_atom=-1.975 total_magnetization_mub_per_fu=0.00 crystal_system=orthorhombic pbc="T T T"
Nb 3.9947 6.6648 0.7808
Nb 1.2020 2.2216 7.9688
Nb 1.5907 2.2216 16.7184
Nb 4.3834 6.6648 9.5304
Xe 1.1441 6.6648 14.8968
Xe 3.9368 2.2216 11.3520
Xe 4.4413 2.2216 2.6024
Xe 1.6486 6.6648 6.1472
F 0.7727 6.6648 12.9655
F 3.5654 2.2216 13.2833
F 4.8127 2.2216 4.5337
F 2.0200 6.6648 4.2159
F 3.1620 3.6225 3.1981
F 0.3693 5.2639 5.5515
F 2.4234 8.0657 14.3011
F 5.2161 0.8207 11.9477
F 4.2765 4.7543 9.4065
F 1.4838 4.1321 16.8423
F 1.3089 0.3111 8.0927
F 4.1016 8.5753 0.6569
F 1.3089 4.1321 8.0927
F 4.1016 4.7543 0.6569
F 4.2765 8.5753 9.4065
F 1.4838 0.3111 16.8423
F 2.7296 6.6648 8.3430
F 5.5223 2.2216 0.4066
F 2.8558 2.2216 9.1562
F 0.0631 6.6648 17.0926
F 0.4826 6.6648 10.3727
F 3.2753 2.2216 15.8761
F 5.1028 2.2216 7.1265
F 2.3101 6.6648 1.6231
F 3.4290 6.6648 11.1543
F 0.6363 2.2216 15.0945
F 2.1564 2.2216 6.3449
F 4.9491 6.6648 2.4047
F 5.4300 6.6648 7.7740
F 2.6373 2.2216 0.9756
F 0.1554 2.2216 9.7252
F 2.9481 6.6648 16.5236
F 3.0513 8.0709 6.0658
F 0.2586 0.8155 2.6838
F 2.5341 3.6277 11.4334
F 5.3268 5.2587 14.8154
F 2.5341 0.8155 11.4334
F 5.3268 8.0709 14.8154
F 3.0513 5.2587 6.0658
F 0.2586 3.6277 2.6838
F 0.3693 8.0657 5.5515
F 3.1620 0.8207 3.1981
F 5.2161 3.6225 11.9477
F 2.4234 5.2639 14.3011